Record 1
Below is crystalline LaSi2Os2 at its relaxed geometry, with properties calculated at the PBE level.

Results
- Calculated formation energy: -0.703 eV per atom

Cell: 4.2447 4.2447 9.9999 Å, 90.00 90.00 90.00°
Space group I4/mmm (No. 139)
Asymmetric unit:
La: 0.0000 0.0000 0.0000
Si: 0.0000 0.0000 0.3637
Os: 0.0000 0.5000 0.2500

=====

Record 2
Below is crystalline InH7N2OF4 at its relaxed geometry, with properties calculated at the PBE level.

Results
- Corrected total energy (MP2020 scheme): -304.8 eV/cell
- Calculated formation energy: -1.361 eV per atom

Cell: 6.8868 8.7549 9.2982 Å, 90.00 90.00 90.00°
Space group P2_12_12_1 (No. 19)
Asymmetric unit:
In: 0.1352 0.2152 0.0530
H: 0.0001 0.4981 0.2384
H: 0.0644 0.6618 0.8000
H: 0.0682 0.0716 0.5810
H: 0.0696 0.3962 0.6083
H: 0.2210 0.2906 0.7134
H: 0.2302 0.0162 0.2965
H: 0.2455 0.2873 0.5315
N: 0.0006 0.6733 0.8998
N: 0.1447 0.2923 0.6152
O: 0.1235 0.0505 0.2321
F: 0.0564 0.8351 0.6018
F: 0.1111 0.0234 0.9176
F: 0.1727 0.6998 0.3794
F: 0.1784 0.4102 0.1761